Entry 1:
A plane-wave DFT calculation with PBE was carried out for a relaxed RbIn3S5 crystal.

## Properties
Mass density: 4.21 Mg/m³

a b c (Å): 12.580 3.846 15.604
angles (deg): 90.00 112.40 90.00
Sites, in units of the cell vectors:
Rb (0.000, 0.000, 0.000)
Rb (0.365, 0.500, 0.574)
Rb (0.635, 0.500, 0.426)
In (0.000, 0.500, 0.500)
In (0.022, 0.000, 0.714)
In (0.272, 0.500, 0.270)
In (0.326, 0.500, 0.835)
In (0.383, 0.000, 0.070)
In (0.617, 0.000, 0.930)
In (0.674, 0.500, 0.165)
In (0.728, 0.500, 0.730)
In (0.978, 0.000, 0.286)
S (0.056, 0.500, 0.211)
S (0.116, 0.000, 0.457)
S (0.144, 0.500, 0.679)
S (0.232, 0.000, 0.898)
S (0.267, 0.500, 0.107)
S (0.370, 0.000, 0.369)
S (0.434, 0.000, 0.783)
S (0.500, 0.500, 0.000)
S (0.566, 0.000, 0.217)
S (0.630, 0.000, 0.631)
S (0.733, 0.500, 0.893)
S (0.768, 0.000, 0.102)
S (0.856, 0.500, 0.321)
S (0.884, 0.000, 0.543)
S (0.944, 0.500, 0.789)



Entry 2:
A plane-wave DFT calculation with PBE was carried out for a relaxed CrAgSe2 crystal.

## Properties
Mass density: 6.11 Mg/m³
Piezoelectric modulus e_max: 0.3 C/m2

a b c (Å): 7.371 7.371 7.371
angles (deg): 29.57 29.57 29.57
Sites, in units of the cell vectors:
Cr (0.000, 0.000, 0.000)
Ag (0.850, 0.850, 0.850)
Se (0.267, 0.267, 0.267)
Se (0.728, 0.728, 0.728)



Entry 3:
A plane-wave DFT calculation with PBE was carried out for a relaxed In2Ni3Se2 crystal.

## Properties
Mass density: 7.49 Mg/m³

a b c (Å): 5.748 5.748 5.748
angles (deg): 56.98 56.98 56.98
Sites, in units of the cell vectors:
In (0.000, 0.000, 0.000)
In (0.500, 0.500, 0.500)
Ni (0.000, 0.500, 0.500)
Ni (0.500, 0.000, 0.500)
Ni (0.500, 0.500, 0.000)
Se (0.218, 0.218, 0.218)
Se (0.782, 0.782, 0.782)



Entry 4:
A plane-wave DFT calculation with PBE was carried out for a relaxed LiB crystal.

## Properties
E above lowest polymorph: 0 meV per atom
Mass density: 1.36 Mg/m³

a b c (Å): 4.013 4.013 3.115
angles (deg): 90.00 90.00 120.00
Sites, in units of the cell vectors:
Li (0.333, 0.667, 0.250)
Li (0.667, 0.333, 0.750)
B (0.000, 0.000, 0.000)
B (0.000, 0.000, 0.500)



Entry 5:
A plane-wave DFT calculation with PBE was carried out for a relaxed TbP2Pd2 crystal.

## Properties
Mass density: 8.60 Mg/m³

a b c (Å): 5.756 5.756 5.756
angles (deg): 138.24 138.24 60.54
Sites, in units of the cell vectors:
Tb (0.000, 0.000, 0.000)
P (0.389, 0.389, 0.000)
P (0.611, 0.611, 0.000)
Pd (0.250, 0.750, 0.500)
Pd (0.750, 0.250, 0.500)



Entry 6:
A plane-wave DFT calculation with PBE was carried out for a relaxed Ba4NaFe10As10 crystal.

## Properties
Mass density: 6.36 Mg/m³

a b c (Å): 8.917 8.917 8.917
angles (deg): 121.31 121.31 87.74
Sites, in units of the cell vectors:
Ba (0.105, 0.302, 0.407)
Ba (0.302, 0.895, 0.197)
Ba (0.698, 0.105, 0.803)
Ba (0.895, 0.698, 0.593)
Na (0.500, 0.500, 0.000)
Fe (0.049, 0.150, 0.699)
Fe (0.150, 0.450, 0.100)
Fe (0.250, 0.750, 0.500)
Fe (0.350, 0.049, 0.900)
Fe (0.450, 0.350, 0.301)
Fe (0.550, 0.650, 0.699)
Fe (0.650, 0.951, 0.100)
Fe (0.750, 0.250, 0.500)
Fe (0.850, 0.550, 0.900)
Fe (0.951, 0.850, 0.301)
As (0.049, 0.447, 0.801)
As (0.153, 0.153, 0.000)
As (0.249, 0.049, 0.602)
As (0.353, 0.751, 0.801)
As (0.447, 0.647, 0.398)
As (0.553, 0.353, 0.602)
As (0.647, 0.249, 0.199)
As (0.751, 0.951, 0.398)
As (0.847, 0.847, 0.000)
As (0.951, 0.553, 0.199)



Entry 7:
A plane-wave DFT calculation with PBE was carried out for a relaxed PrCoSi crystal.

## Properties
Mass density: 6.55 Mg/m³

a b c (Å): 4.026 4.026 7.134
angles (deg): 90.00 90.00 90.00
Sites, in units of the cell vectors:
Pr (0.250, 0.250, 0.185)
Pr (0.750, 0.750, 0.815)
Co (0.250, 0.750, 0.500)
Co (0.750, 0.250, 0.500)
Si (0.250, 0.250, 0.665)
Si (0.750, 0.750, 0.335)



Entry 8:
A plane-wave DFT calculation with PBE was carried out for a relaxed Sm8Ga48Cu3 crystal.

## Properties
Mass density: 6.87 Mg/m³

a b c (Å): 6.105 6.105 30.727
angles (deg): 90.00 90.00 90.00
Sites, in units of the cell vectors:
Sm (0.000, 0.000, 0.123)
Sm (0.000, 0.000, 0.376)
Sm (0.000, 0.000, 0.624)
Sm (0.000, 0.000, 0.877)
Sm (0.500, 0.500, 0.123)
Sm (0.500, 0.500, 0.377)
Sm (0.500, 0.500, 0.623)
Sm (0.500, 0.500, 0.877)
Ga (0.000, 0.500, 0.090)
Ga (0.000, 0.500, 0.169)
Ga (0.000, 0.500, 0.331)
Ga (0.000, 0.500, 0.411)
Ga (0.000, 0.500, 0.589)
Ga (0.000, 0.500, 0.669)
Ga (0.000, 0.500, 0.831)
Ga (0.000, 0.500, 0.910)
Ga (0.178, 0.178, 0.213)
Ga (0.178, 0.178, 0.713)
Ga (0.178, 0.822, 0.287)
Ga (0.178, 0.822, 0.787)
Ga (0.241, 0.241, 0.459)
Ga (0.241, 0.759, 0.541)
Ga (0.243, 0.243, 0.542)
Ga (0.243, 0.757, 0.458)
Ga (0.249, 0.249, 0.957)
Ga (0.249, 0.751, 0.043)
Ga (0.251, 0.251, 0.043)
Ga (0.251, 0.749, 0.957)
Ga (0.323, 0.323, 0.287)
Ga (0.323, 0.323, 0.787)
Ga (0.323, 0.677, 0.213)
Ga (0.323, 0.677, 0.713)
Ga (0.500, 0.000, 0.090)
Ga (0.500, 0.000, 0.169)
Ga (0.500, 0.000, 0.331)
Ga (0.500, 0.000, 0.411)
Ga (0.500, 0.000, 0.589)
Ga (0.500, 0.000, 0.669)
Ga (0.500, 0.000, 0.831)
Ga (0.500, 0.000, 0.910)
Ga (0.677, 0.323, 0.213)
Ga (0.677, 0.323, 0.713)
Ga (0.677, 0.677, 0.287)
Ga (0.677, 0.677, 0.787)
Ga (0.749, 0.251, 0.957)
Ga (0.749, 0.749, 0.043)
Ga (0.751, 0.249, 0.043)
Ga (0.751, 0.751, 0.957)
Ga (0.757, 0.243, 0.458)
Ga (0.757, 0.757, 0.542)
Ga (0.759, 0.241, 0.541)
Ga (0.759, 0.759, 0.459)
Ga (0.822, 0.178, 0.287)
Ga (0.822, 0.178, 0.787)
Ga (0.822, 0.822, 0.213)
Ga (0.822, 0.822, 0.713)
Cu (0.000, 0.000, 0.000)
Cu (0.500, 0.500, 0.000)
Cu (0.500, 0.500, 0.500)



Entry 9:
A plane-wave DFT calculation with PBE was carried out for a relaxed CuC9S2NF10 crystal.

## Properties
Mass density: 1.78 Mg/m³

a b c (Å): 9.755 9.755 9.566
angles (deg): 101.46 101.46 68.04
Sites, in units of the cell vectors:
Cu (0.063, 0.937, 0.750)
Cu (0.937, 0.063, 0.250)
C (0.052, 0.627, 0.682)
C (0.104, 0.736, 0.805)
C (0.178, 0.822, 0.250)
C (0.264, 0.896, 0.695)
C (0.270, 0.438, 0.159)
C (0.296, 0.555, 0.229)
C (0.373, 0.948, 0.818)
C (0.438, 0.270, 0.659)
C (0.445, 0.704, 0.271)
C (0.555, 0.296, 0.729)
C (0.562, 0.730, 0.341)
C (0.627, 0.052, 0.182)
C (0.704, 0.445, 0.771)
C (0.730, 0.562, 0.841)
C (0.736, 0.104, 0.305)
C (0.822, 0.178, 0.750)
C (0.896, 0.264, 0.195)
C (0.948, 0.373, 0.318)
S (0.021, 0.816, 0.289)
S (0.184, 0.979, 0.211)
S (0.816, 0.021, 0.789)
S (0.979, 0.184, 0.711)
N (0.315, 0.685, 0.250)
N (0.685, 0.315, 0.750)
F (0.024, 0.758, 0.918)
F (0.080, 0.495, 0.727)
F (0.096, 0.314, 0.362)
F (0.125, 0.600, 0.567)
F (0.242, 0.976, 0.582)
F (0.250, 0.664, 0.856)
F (0.314, 0.096, 0.862)
F (0.336, 0.750, 0.644)
F (0.400, 0.875, 0.933)
F (0.495, 0.080, 0.227)
F (0.505, 0.920, 0.773)
F (0.600, 0.125, 0.067)
F (0.664, 0.250, 0.356)
F (0.686, 0.904, 0.138)
F (0.750, 0.336, 0.144)
F (0.758, 0.024, 0.418)
F (0.875, 0.400, 0.433)
F (0.904, 0.686, 0.638)
F (0.920, 0.505, 0.273)
F (0.976, 0.242, 0.082)



Entry 10:
A plane-wave DFT calculation with PBE was carried out for a relaxed K3Rh crystal.

## Properties
Mass density: 2.62 Mg/m³

a b c (Å): 5.880 5.880 5.880
angles (deg): 121.89 121.89 86.76
Sites, in units of the cell vectors:
K (0.000, 0.000, 0.000)
K (0.250, 0.750, 0.500)
K (0.750, 0.250, 0.500)
Rh (0.500, 0.500, 0.000)



Entry 11:
A plane-wave DFT calculation with PBE was carried out for a relaxed RbCuF3 crystal.

## Properties
Mass density: 4.58 Mg/m³

a b c (Å): 5.889 5.889 5.889
angles (deg): 117.48 117.48 94.43
Sites, in units of the cell vectors:
Rb (0.250, 0.250, 0.000)
Rb (0.750, 0.750, 0.000)
Cu (0.000, 0.500, 0.500)
Cu (0.500, 0.000, 0.500)
F (0.220, 0.720, 0.939)
F (0.250, 0.750, 0.500)
F (0.280, 0.220, 0.500)
F (0.720, 0.780, 0.500)
F (0.750, 0.250, 0.500)
F (0.780, 0.280, 0.061)



Entry 12:
A plane-wave DFT calculation with PBE was carried out for a relaxed Na3Pd5F12 crystal.

## Properties
Mass density: 4.56 Mg/m³

a b c (Å): 7.495 7.495 6.890
angles (deg): 106.22 106.22 55.22
Sites, in units of the cell vectors:
Na (0.000, 0.000, 0.000)
Na (0.260, 0.740, 0.500)
Na (0.740, 0.260, 0.500)
Pd (0.000, 0.500, 0.000)
Pd (0.234, 0.234, 0.476)
Pd (0.500, 0.000, 0.000)
Pd (0.500, 0.500, 0.000)
Pd (0.766, 0.766, 0.524)
F (0.076, 0.076, 0.397)
F (0.214, 0.214, 0.170)
F (0.215, 0.637, 0.111)
F (0.245, 0.245, 0.776)
F (0.363, 0.785, 0.889)
F (0.392, 0.392, 0.540)
F (0.608, 0.608, 0.460)
F (0.637, 0.215, 0.111)
F (0.755, 0.755, 0.224)
F (0.785, 0.363, 0.889)
F (0.786, 0.786, 0.830)
F (0.924, 0.924, 0.603)



Entry 13:
A plane-wave DFT calculation with PBE was carried out for a relaxed TbPu3 crystal.

## Properties
Mass density: 12.78 Mg/m³

a b c (Å): 6.931 6.931 5.567
angles (deg): 90.00 90.00 120.00
Sites, in units of the cell vectors:
Tb (0.333, 0.667, 0.250)
Tb (0.667, 0.333, 0.750)
Pu (0.163, 0.327, 0.750)
Pu (0.163, 0.837, 0.750)
Pu (0.327, 0.163, 0.250)
Pu (0.673, 0.837, 0.750)
Pu (0.837, 0.163, 0.250)
Pu (0.837, 0.673, 0.250)



Entry 14:
A plane-wave DFT calculation with PBE was carried out for a relaxed Ga9Rh2 crystal.

## Properties
E above lowest polymorph: 3 meV per atom
Mass density: 7.44 Mg/m³

a b c (Å): 6.473 6.396 8.996
angles (deg): 90.00 93.38 90.00
Sites, in units of the cell vectors:
Ga (0.000, 0.000, 0.000)
Ga (0.000, 0.500, 0.500)
Ga (0.100, 0.218, 0.727)
Ga (0.100, 0.282, 0.227)
Ga (0.214, 0.604, 0.043)
Ga (0.214, 0.896, 0.543)
Ga (0.388, 0.202, 0.999)
Ga (0.388, 0.298, 0.499)
Ga (0.400, 0.518, 0.767)
Ga (0.400, 0.982, 0.267)
Ga (0.600, 0.018, 0.733)
Ga (0.600, 0.482, 0.233)
Ga (0.612, 0.702, 0.501)
Ga (0.612, 0.798, 0.001)
Ga (0.786, 0.104, 0.457)
Ga (0.786, 0.396, 0.957)
Ga (0.900, 0.718, 0.773)
Ga (0.900, 0.782, 0.273)
Rh (0.261, 0.623, 0.333)
Rh (0.261, 0.877, 0.833)
Rh (0.739, 0.123, 0.167)
Rh (0.739, 0.377, 0.667)



Entry 15:
A plane-wave DFT calculation with PBE was carried out for a relaxed Fe2AgS3 crystal.

## Properties
Mass density: 4.68 Mg/m³

a b c (Å): 6.308 6.308 12.840
angles (deg): 90.00 90.00 61.32
Sites, in units of the cell vectors:
Fe (0.003, 0.334, 0.059)
Fe (0.166, 0.497, 0.441)
Fe (0.334, 0.003, 0.941)
Fe (0.497, 0.166, 0.559)
Fe (0.503, 0.834, 0.441)
Fe (0.666, 0.997, 0.059)
Fe (0.834, 0.503, 0.559)
Fe (0.997, 0.666, 0.941)
Ag (0.149, 0.851, 0.705)
Ag (0.351, 0.649, 0.205)
Ag (0.649, 0.351, 0.795)
Ag (0.851, 0.149, 0.295)
S (0.024, 0.332, 0.892)
S (0.168, 0.476, 0.608)
S (0.201, 0.799, 0.385)
S (0.299, 0.701, 0.885)
S (0.332, 0.024, 0.108)
S (0.476, 0.168, 0.392)
S (0.524, 0.832, 0.608)
S (0.668, 0.976, 0.892)
S (0.701, 0.299, 0.115)
S (0.799, 0.201, 0.615)
S (0.832, 0.524, 0.392)
S (0.976, 0.668, 0.108)



Entry 16:
A plane-wave DFT calculation with PBE was carried out for a relaxed GdH3 crystal.

## Properties
Mass density: 6.67 Mg/m³

a b c (Å): 6.432 6.432 6.681
angles (deg): 90.00 90.00 120.00
Sites, in units of the cell vectors:
Gd (0.000, 0.337, 0.250)
Gd (0.000, 0.663, 0.750)
Gd (0.337, 0.000, 0.250)
Gd (0.337, 0.337, 0.750)
Gd (0.663, 0.000, 0.750)
Gd (0.663, 0.663, 0.250)
H (0.000, 0.000, 0.250)
H (0.000, 0.000, 0.750)
H (0.028, 0.349, 0.907)
H (0.028, 0.679, 0.407)
H (0.321, 0.349, 0.407)
H (0.321, 0.972, 0.907)
H (0.333, 0.667, 0.180)
H (0.333, 0.667, 0.680)
H (0.349, 0.028, 0.593)
H (0.349, 0.321, 0.093)
H (0.651, 0.679, 0.907)
H (0.651, 0.972, 0.407)
H (0.667, 0.333, 0.320)
H (0.667, 0.333, 0.820)
H (0.679, 0.028, 0.093)
H (0.679, 0.651, 0.593)
H (0.972, 0.321, 0.593)
H (0.972, 0.651, 0.093)



In eV/atom, the uncorrected energy values for the records above are, in order, -4.043; -5.232; -4.572; -4.460; -6.104; -6.086; -6.440; -3.642; -5.652; -2.100; -4.224; -4.215; -11.658; -4.159; -5.620; -6.643.